No. 1
The following is a r²SCAN calculation of crystalline Ho2Ga9Ru3 at its relaxed geometry, from the Materials Project.

abc: 7.3863 7.3863 9.6405
angles: 90.00 90.00 118.90
With the nearest neighbours (Å) after each atom.
Positions (direct):
Ga 0.6617 0.9888 0.9235  3 Ru 2.53-2.57, 3 Ga 2.69-2.77
Ga 0.9888 0.6617 0.9235  3 Ru 2.53-2.57, 3 Ga 2.69-2.77
Ga 0.3383 0.0112 0.4235  3 Ru 2.53-2.57, 3 Ga 2.69-2.77
Ga 0.4462 0.6607 0.7500  2 Ru 2.60, 6 Ga 2.72-2.78
Ga 0.6613 0.6613 0.0627  3 Ru 2.61-2.63, 5 Ga 2.71-2.78
Ga 0.9888 0.6617 0.5765  3 Ru 2.53-2.57, 3 Ga 2.69-2.77
Ga 0.3387 0.3387 0.9373  3 Ru 2.61-2.63, 5 Ga 2.71-2.78
Ga 0.6613 0.6613 0.4373  3 Ru 2.61-2.63, 5 Ga 2.71-2.78
Ga 0.8669 0.8669 0.7500  2 Ru 2.61, 6 Ga 2.69-2.72
Ga 0.3393 0.5538 0.2500  2 Ru 2.60, 6 Ga 2.72-2.78
Ga 0.6607 0.4462 0.7500  2 Ru 2.60, 6 Ga 2.72-2.78
Ga 0.3383 0.0112 0.0765  3 Ru 2.53-2.57, 3 Ga 2.69-2.77
Ga 0.1331 0.1331 0.2500  2 Ru 2.61, 6 Ga 2.69-2.72
Ga 0.0112 0.3383 0.0765  3 Ru 2.53-2.57, 3 Ga 2.69-2.77
Ga 0.5538 0.3393 0.2500  2 Ru 2.60, 6 Ga 2.72-2.78
Ga 0.0112 0.3383 0.4235  3 Ru 2.53-2.57, 3 Ga 2.69-2.77
Ga 0.6617 0.9888 0.5765  3 Ru 2.53-2.57, 3 Ga 2.69-2.77
Ga 0.3387 0.3387 0.5627  3 Ru 2.61-2.63, 5 Ga 2.71-2.78
Ru 0.3231 0.6769 0.5000  8 Ga 2.53-2.63
Ru 0.0000 0.0000 0.5000  8 Ga 2.57-2.61
Ru 0.0000 0.0000 0.0000  8 Ga 2.57-2.61
Ru 0.6769 0.3231 0.0000  8 Ga 2.53-2.63
Ru 0.6769 0.3231 0.5000  8 Ga 2.53-2.63
Ru 0.3231 0.6769 0.0000  8 Ga 2.53-2.63
Ho 0.6749 0.9975 0.2500  11 Ga 3.01-3.15
Ho 0.0025 0.3251 0.7500  11 Ga 3.01-3.15
Ho 0.3251 0.0025 0.7500  11 Ga 3.01-3.15
Ho 0.9975 0.6749 0.2500  11 Ga 3.01-3.15

## Properties
Crystal system = orthorhombic
Space group = Cmcm (63)
VASP energy = -253.23 eV per formula unit
Energy of formation from the pure elements = -586 meV/atom

No. 2
The following is a r²SCAN calculation of crystalline K2RuBr6 at its relaxed geometry, from the Materials Project.

abc: 7.2747 10.6082 14.4534
angles: 90.00 90.00 90.00
With the nearest neighbours (Å) after each atom.
Positions (direct):
Br 0.5178 0.7500 0.0061  1 Ru 2.50
Br 0.4723 0.2500 0.7495  1 Ru 2.48
Br 0.0178 0.2500 0.4939  1 Ru 2.50
Br 0.9723 0.7500 0.7505  1 Ru 2.48
Br 0.7374 0.9864 0.6265  1 Ru 2.51
Br 0.7374 0.5136 0.6265  1 Ru 2.51
Br 0.7626 0.9864 0.1265  1 Ru 2.51
Br 0.7626 0.5136 0.1265  1 Ru 2.51
Br 0.4822 0.2500 0.9939  1 Ru 2.50
Br 0.2626 0.4864 0.3735  1 Ru 2.51
Br 0.0021 0.7500 0.0046  1 Ru 2.47
Br 0.4979 0.7500 0.5046  1 Ru 2.47
Br 0.2374 0.0136 0.8735  1 Ru 2.51
Br 0.2626 0.0136 0.3735  1 Ru 2.51
Br 0.9896 0.2500 0.7535  1 Ru 2.49
Br 0.0104 0.7500 0.2465  1 Ru 2.49
Br 0.9979 0.2500 0.9954  1 Ru 2.47
Br 0.5021 0.2500 0.4954  1 Ru 2.47
Br 0.0277 0.2500 0.2495  1 Ru 2.48
Br 0.9822 0.7500 0.5061  1 Ru 2.50
Br 0.5277 0.7500 0.2505  1 Ru 2.48
Br 0.4896 0.7500 0.7465  1 Ru 2.49
Br 0.2374 0.4864 0.8735  1 Ru 2.51
Br 0.5104 0.2500 0.2535  1 Ru 2.49
K 0.2604 0.5006 0.1240  12 Br 3.61-3.76
K 0.2396 0.5006 0.6240  12 Br 3.61-3.76
K 0.7604 0.0006 0.3760  12 Br 3.61-3.76
K 0.2396 0.9994 0.6240  12 Br 3.61-3.76
K 0.7604 0.4994 0.3760  12 Br 3.61-3.76
K 0.7396 0.4994 0.8760  12 Br 3.61-3.76
K 0.7396 0.0006 0.8760  12 Br 3.61-3.76
K 0.2604 0.9994 0.1240  12 Br 3.61-3.76
Ru 0.2643 0.2500 0.3732  6 Br 2.47-2.51
Ru 0.7643 0.7500 0.1268  6 Br 2.47-2.51
Ru 0.7357 0.7500 0.6268  6 Br 2.47-2.51
Ru 0.2357 0.2500 0.8732  6 Br 2.47-2.51

## Properties
Crystal system = orthorhombic
Space group = Pnma (62)
VASP energy = -127.23 eV per formula unit
Energy of formation from the pure elements = -1135 meV/atom

No. 3
The following is a r²SCAN calculation of crystalline PmLuIn2 at its relaxed geometry, from the Materials Project.

abc: 5.3112 5.3112 5.3112
angles: 60.00 60.00 60.00
With the nearest neighbours (Å) after each atom.
Positions (direct):
Lu 0.5000 0.5000 0.5000  8 In 3.25
Pm 0.0000 0.0000 0.0000  8 In 3.25
In 0.7500 0.7500 0.7500  4 Lu 3.25, 4 Pm 3.25
In 0.2500 0.2500 0.2500  4 Pm 3.25, 4 Lu 3.25

## Properties
Crystal system = cubic
Space group = Fm-3m (225)
VASP energy = -115.02 eV per formula unit
Energy of formation from the pure elements = -561 meV/atom